No. 1
V3O2F6: relaxed, PBE with a Hubbard U.

## Properties
The electronic total energy comes out at -144.26 eV for the cell shown. The value obtained for the calculated formation energy is -2.98 eV per atom. For the volume, the calculation gives 12.42 Å³ per atom.

The structure in CIF format:
```
data_V3O2F6
_chemical_formula_sum 'V6 O4 F12'
_cell_length_a 5.5388
_cell_length_b 4.7560
_cell_length_c 10.4360
_cell_angle_alpha 90.00
_cell_angle_beta 96.24
_cell_angle_gamma 90.00
_space_group_name_H-M_alt 'P 1 c 1'
_space_group_IT_number 7
loop_
_space_group_symop_operation_xyz
'x,y,z'
'x,-y,z+1/2'
loop_
_atom_site_label
_atom_site_type_symbol
_atom_site_fract_x
_atom_site_fract_y
_atom_site_fract_z
V1 V 0.0000 0.2303 0.0000
V2 V 0.5350 0.2655 0.5108
V3 V 0.7767 0.2506 0.2538
O1 O 0.7601 0.4402 0.0790
O2 O 0.8096 0.0447 0.4320
F1 F 0.0541 0.0755 0.1735
F2 F 0.2495 0.4879 0.5591
F3 F 0.2956 0.0288 0.9484
F4 F 0.5034 0.4207 0.3335
F5 F 0.5774 0.0615 0.6791
F6 F 0.9800 0.4451 0.8373
```

=====

No. 2
RbNa2Mn3P4ClO14: relaxed, PBE with a Hubbard U.

## Properties
The electronic total energy comes out at -692.03 eV for the cell shown. The value obtained for the calculated formation energy is -2.55 eV per atom. For the volume, the calculation gives 13.92 Å³ per atom.

The structure in CIF format:
```
data_RbNa2Mn3P4ClO14
_chemical_formula_sum 'Rb4 Na8 Mn12 P16 Cl4 O56'
_cell_length_a 21.4424
_cell_length_b 5.3110
_cell_length_c 14.0374
_cell_angle_alpha 90.00
_cell_angle_beta 119.44
_cell_angle_gamma 90.00
_space_group_name_H-M_alt 'C 1 2/c 1'
_space_group_IT_number 15
loop_
_space_group_symop_operation_xyz
'x,y,z'
'-x,-y,-z'
'-x,y,-z+1/2'
'x,-y,z+1/2'
'x+1/2,y+1/2,z'
'-x+1/2,-y+1/2,-z'
'-x+1/2,y+1/2,-z+1/2'
'x+1/2,-y+1/2,z+1/2'
loop_
_atom_site_label
_atom_site_type_symbol
_atom_site_fract_x
_atom_site_fract_y
_atom_site_fract_z
Rb1 Rb 0.0000 0.0000 0.0000
Na1 Na 0.2204 0.0252 0.1533
Mn1 Mn 0.0000 0.4476 0.7500
Mn2 Mn 0.1567 0.0142 0.8447
P1 P 0.1184 0.4952 0.6708
P2 P 0.1575 0.4839 0.4930
Cl1 Cl 0.0000 0.0419 0.2500
O1 O 0.0408 0.4954 0.6458
O2 O 0.1078 0.4535 0.0487
O3 O 0.1183 0.3703 0.8841
O4 O 0.1562 0.2401 0.7098
O5 O 0.1568 0.1980 0.4771
O6 O 0.1646 0.2872 0.2436
O7 O 0.2311 0.4094 0.0724
```

=====

No. 3
CrH4C4NO10: relaxed, PBE with a Hubbard U.

## Properties
The electronic total energy comes out at -263.05 eV for the cell shown. The value obtained for the calculated formation energy is -1.12 eV per atom. For the volume, the calculation gives 13.27 Å³ per atom.

The structure in CIF format:
```
data_CrH4C4NO10
_chemical_formula_sum 'Cr2 H8 C8 N2 O20'
_cell_length_a 6.8825
_cell_length_b 7.4725
_cell_length_c 10.3255
_cell_angle_alpha 90.00
_cell_angle_beta 91.77
_cell_angle_gamma 90.00
_space_group_name_H-M_alt 'C 1 2/m 1'
_space_group_IT_number 12
loop_
_space_group_symop_operation_xyz
'x,y,z'
'-x,-y,-z'
'-x,y,-z'
'x,-y,z'
'x+1/2,y+1/2,z'
'-x+1/2,-y+1/2,-z'
'-x+1/2,y+1/2,-z'
'x+1/2,-y+1/2,z'
loop_
_atom_site_label
_atom_site_type_symbol
_atom_site_fract_x
_atom_site_fract_y
_atom_site_fract_z
Cr1 Cr 0.0000 0.0000 0.0000
H1 H 0.1579 0.3904 0.8990
C1 C 0.1311 0.1075 0.7546
N1 N 0.0000 0.5000 0.5000
O1 O 0.0695 0.1750 0.8639
O2 O 0.1890 0.1902 0.6621
O3 O 0.2151 0.5000 0.9399
```

=====

No. 4
V5O12: relaxed, PBE with a Hubbard U.

## Properties
The electronic total energy comes out at -252.01 eV for the cell shown. The value obtained for the calculated formation energy is -2.23 eV per atom. For the volume, the calculation gives 12.09 Å³ per atom.

The structure in CIF format:
```
data_V5O12
_chemical_formula_sum 'V10 O24'
_cell_length_a 5.4815
_cell_length_b 8.3139
_cell_length_c 9.0617
_cell_angle_alpha 90.00
_cell_angle_beta 95.29
_cell_angle_gamma 90.00
_space_group_name_H-M_alt 'C 1 2 1'
_space_group_IT_number 5
loop_
_space_group_symop_operation_xyz
'x,y,z'
'-x,y,-z'
'x+1/2,y+1/2,z'
'-x+1/2,y+1/2,-z'
loop_
_atom_site_label
_atom_site_type_symbol
_atom_site_fract_x
_atom_site_fract_y
_atom_site_fract_z
V1 V 0.0000 0.0000 0.0000
V2 V 0.0000 0.1689 0.5000
V3 V 0.0000 0.5478 0.5000
V4 V 0.2229 0.3390 0.7800
O1 O 0.0435 0.3579 0.3677
O2 O 0.0533 0.8606 0.8573
O3 O 0.1239 0.1845 0.8787
O4 O 0.1648 0.6833 0.3871
O5 O 0.1807 0.5034 0.8982
O6 O 0.1847 0.0271 0.3955
```

=====

No. 5
Li3V6O16: relaxed, PBE with a Hubbard U.

## Properties
The electronic total energy comes out at -177.67 eV for the cell shown. The value obtained for the calculated formation energy is -2.38 eV per atom. For the volume, the calculation gives 11.53 Å³ per atom.

The structure in CIF format:
```
data_Li3V6O16
_chemical_formula_sum 'Li3 V6 O16'
_cell_length_a 6.7823
_cell_length_b 3.6576
_cell_length_c 12.0324
_cell_angle_alpha 90.00
_cell_angle_beta 105.01
_cell_angle_gamma 90.00
_space_group_name_H-M_alt 'P 1 m 1'
_space_group_IT_number 6
loop_
_space_group_symop_operation_xyz
'x,y,z'
'x,-y,z'
loop_
_atom_site_label
_atom_site_type_symbol
_atom_site_fract_x
_atom_site_fract_y
_atom_site_fract_z
Li1 Li 0.0000 0.0000 0.0000
Li2 Li 0.2898 0.0000 0.3702
Li3 Li 0.6580 0.5000 0.7339
V1 V 0.1666 0.5000 0.5881
V2 V 0.2107 0.5000 0.8531
V3 V 0.3531 0.5000 0.1349
V4 V 0.5911 0.0000 0.9725
V5 V 0.7402 0.0000 0.2496
V6 V 0.7800 0.0000 0.5159
O1 O 0.0821 0.0000 0.5917
O2 O 0.1397 0.5000 0.0074
O3 O 0.2449 0.5000 0.2421
O4 O 0.2858 0.0000 0.8797
O5 O 0.2965 0.5000 0.4898
O6 O 0.3458 0.5000 0.7240
O7 O 0.4187 0.0000 0.1220
O8 O 0.5183 0.5000 0.9795
O9 O 0.6028 0.0000 0.3801
O10 O 0.6502 0.0000 0.6144
O11 O 0.6563 0.5000 0.2246
O12 O 0.7146 0.0000 0.8696
O13 O 0.7993 0.0000 0.0958
O14 O 0.8652 0.5000 0.5129
O15 O 0.9723 0.5000 0.7744
O16 O 0.9761 0.0000 0.3302
```

=====

No. 6
TbMnO3: relaxed, PBE with a Hubbard U.

## Properties
The electronic total energy comes out at -160.27 eV for the cell shown. The value obtained for the calculated formation energy is -3.03 eV per atom. For the volume, the calculation gives 11.80 Å³ per atom.

The structure in CIF format:
```
data_TbMnO3
_chemical_formula_sum 'Tb4 Mn4 O12'
_cell_length_a 5.8875
_cell_length_b 7.5129
_cell_length_c 5.3368
_cell_angle_alpha 90.00
_cell_angle_beta 90.00
_cell_angle_gamma 90.00
_space_group_name_H-M_alt 'P n m a'
_space_group_IT_number 62
loop_
_space_group_symop_operation_xyz
'x,y,z'
'-x,-y,-z'
'-x+1/2,-y,z+1/2'
'x+1/2,y,-z+1/2'
'x+1/2,-y+1/2,-z+1/2'
'-x+1/2,y+1/2,z+1/2'
'-x,y+1/2,-z'
'x,-y+1/2,z'
loop_
_atom_site_label
_atom_site_type_symbol
_atom_site_fract_x
_atom_site_fract_y
_atom_site_fract_z
Tb1 Tb 0.0821 0.2500 0.0188
Mn1 Mn 0.0000 0.0000 0.5000
O1 O 0.0403 0.7500 0.3845
O2 O 0.1741 0.5554 0.7989
```

=====

No. 7
Fe7Pb7F34: relaxed, PBE with a Hubbard U.

## Properties
The electronic total energy comes out at -493.08 eV for the cell shown. The value obtained for the calculated formation energy is -2.66 eV per atom. For the volume, the calculation gives 14.82 Å³ per atom.

The structure in CIF format:
```
data_Fe7Pb7F34
_chemical_formula_sum 'Fe14 Pb14 F68'
_cell_length_a 16.5452
_cell_length_b 11.4009
_cell_length_c 7.7350
_cell_angle_alpha 90.00
_cell_angle_beta 102.76
_cell_angle_gamma 90.00
_space_group_name_H-M_alt 'C 1 2/m 1'
_space_group_IT_number 12
loop_
_space_group_symop_operation_xyz
'x,y,z'
'-x,-y,-z'
'-x,y,-z'
'x,-y,z'
'x+1/2,y+1/2,z'
'-x+1/2,-y+1/2,-z'
'-x+1/2,y+1/2,-z'
'x+1/2,-y+1/2,z'
loop_
_atom_site_label
_atom_site_type_symbol
_atom_site_fract_x
_atom_site_fract_y
_atom_site_fract_z
Fe1 Fe 0.0000 0.0000 0.0000
Fe2 Fe 0.1075 0.2552 0.3007
Fe3 Fe 0.1639 0.5000 0.0347
Pb1 Pb 0.0000 0.5000 0.5000
Pb2 Pb 0.1460 0.1902 0.7959
Pb3 Pb 0.2406 0.0000 0.3990
F1 F 0.0070 0.2810 0.6935
F2 F 0.0723 0.0000 0.8120
F3 F 0.0836 0.1348 0.1151
F4 F 0.0966 0.3784 0.1155
F5 F 0.0983 0.5000 0.7977
F6 F 0.1245 0.1299 0.4811
F7 F 0.1332 0.3758 0.4914
F8 F 0.2244 0.2392 0.3056
F9 F 0.2324 0.3790 0.9600
F10 F 0.2476 0.5000 0.2694
```

=====

No. 8
Li4Ni3O6F: relaxed, PBE with a Hubbard U.

## Properties
The electronic total energy comes out at -135.59 eV for the cell shown. The value obtained for the calculated formation energy is -1.67 eV per atom. For the volume, the calculation gives 8.60 Å³ per atom.

The structure in CIF format:
```
data_Li4Ni3O6F
_chemical_formula_sum 'Li8 Ni6 O12 F2'
_cell_length_a 9.2187
_cell_length_b 4.1407
_cell_length_c 6.3743
_cell_angle_alpha 90.00
_cell_angle_beta 98.35
_cell_angle_gamma 90.00
_space_group_name_H-M_alt 'C 1 2/m 1'
_space_group_IT_number 12
loop_
_space_group_symop_operation_xyz
'x,y,z'
'-x,-y,-z'
'-x,y,-z'
'x,-y,z'
'x+1/2,y+1/2,z'
'-x+1/2,-y+1/2,-z'
'-x+1/2,y+1/2,-z'
'x+1/2,-y+1/2,z'
loop_
_atom_site_label
_atom_site_type_symbol
_atom_site_fract_x
_atom_site_fract_y
_atom_site_fract_z
Li1 Li 0.0751 0.0000 0.2115
Li2 Li 0.2197 0.0000 0.6427
Ni1 Ni 0.0000 0.5000 0.5000
Ni2 Ni 0.1430 0.5000 0.9259
O1 O 0.0556 0.5000 0.2172
O2 O 0.1578 0.0000 0.9392
O3 O 0.1929 0.5000 0.6359
F1 F 0.0000 0.0000 0.5000
```